## ScGeRh (meta-GGA r2SCAN)

Data for a geometry-optimized ScGeRh structure.

The formation energy is -1.052 eV per atom. As for the raw total energy: -210.25 eV/cell.

The space group is Pnma (No. 62) and the conventional cell measures 6.548, 4.130 and 7.403 Å, with angles of 90.00, 90.00 and 90.00 degrees. Symmetry generates all atoms from Sc at (0.012, 0.250, 0.195), Ge at (0.221, 0.750, 0.386) and Rh at (0.156, 0.250, 0.562).

## CsTi5Se8 (meta-GGA r2SCAN)

Data for a geometry-optimized CsTi5Se8 structure.

The formation energy is -1.405 eV per atom. As for the raw total energy: -447.92 eV/cell.

The space group is C2/m (No. 12) and the conventional cell measures 18.951, 3.664 and 9.365 Å, with angles of 90.00, 104.47 and 90.00 degrees. Symmetry generates all atoms from Cs at (0.000, 0.000, 0.000), Ti at (0.000, 0.500, 0.500), Ti at (0.163, 0.000, 0.500), Ti at (0.208, 0.000, 0.850), Se at (0.075, 0.000, 0.667), Se at (0.090, 0.500, 0.334), Se at (0.163, 0.500, 0.996) and Se at (0.244, 0.500, 0.669).